(1)
Ba2MgFe2B2P4O18 | PBE with a Hubbard U | optimized geometry

Computed properties:
* ΔE to the lowest computed polymorph: 0.0548 eV/atom
* SG: No. 1

POSCAR file:
```
Ba2MgFe2B2P4O18
1.0
5.392 0.000 0.000
1.452 8.219 0.000
0.058 0.677 9.103
Ba Mg Fe B P O
2 1 2 2 4 18
Cartesian
0.000 0.000 0.000
2.992 2.115 3.786
1.126 5.625 2.382
1.598 7.752 5.145
2.942 3.074 7.963
4.602 5.603 8.595
5.193 5.184 4.527
3.832 6.798 2.759
4.208 7.984 7.167
5.799 3.136 1.226
5.733 2.773 5.912
1.084 3.654 2.526
1.386 2.319 0.387
1.822 3.105 6.111
2.750 7.605 6.877
2.815 6.333 1.696
3.225 7.913 3.609
2.769 0.971 8.150
3.586 4.889 8.220
4.067 5.491 3.696
5.065 8.189 5.926
4.964 6.866 8.059
5.200 7.160 2.147
4.518 2.345 1.476
4.941 4.019 5.238
4.950 2.479 7.177
5.508 4.582 0.521
6.337 5.886 4.440
5.595 1.651 4.837
```



(2)
Li7Mn8B8O24 | PBE with a Hubbard U | optimized geometry

Computed properties:
* SG: No. 1

POSCAR file:
```
Li7Mn8B8O24
1.0
5.297 0.000 0.000
-0.014 9.038 0.000
-0.443 -0.039 10.449
Li Mn B O
7 8 8 24
Cartesian
0.000 0.000 0.000
-0.163 0.332 5.217
0.840 4.758 2.624
0.709 4.681 7.869
2.475 4.876 5.139
3.505 0.239 2.491
3.336 0.203 7.916
-0.176 3.290 4.843
-0.343 6.046 10.118
0.870 1.663 2.268
0.665 7.718 7.503
2.192 1.859 10.062
2.482 7.820 4.841
3.434 6.206 2.134
3.308 3.302 7.454
-0.141 6.304 4.784
-0.283 3.025 9.970
0.812 7.690 2.176
0.606 1.786 7.440
2.302 7.762 10.033
2.540 1.780 4.774
3.477 3.216 2.160
3.293 6.291 7.399
0.021 8.816 2.019
-0.105 0.625 7.257
0.287 6.431 1.872
0.089 3.012 7.034
0.421 7.505 5.235
0.265 1.810 10.442
0.651 5.179 4.627
0.466 4.144 9.828
0.930 7.722 9.707
1.180 1.689 4.443
1.902 1.770 8.018
2.133 7.821 2.607
2.663 4.287 2.297
2.493 5.179 7.209
2.945 1.990 1.619
2.768 7.560 7.097
3.053 2.971 5.285
3.395 6.670 0.032
2.999 8.956 9.869
3.362 0.691 4.554
3.798 6.236 4.468
3.686 2.997 9.569
4.806 3.220 2.577
4.608 6.146 7.844
```



(3)
Na2FeO2 | PBE with a Hubbard U | optimized geometry

Computed properties:
* SG: No. 60

POSCAR file:
```
Na2FeO2
1.0
15.945 0.000 0.000
0.000 6.913 0.000
0.000 0.000 5.959
Na Fe O
16 8 16
Cartesian
0.000 0.588 1.490
0.000 2.455 4.469
0.000 4.458 1.490
0.000 6.325 4.469
2.582 0.856 3.521
2.582 6.057 0.542
5.390 2.600 0.542
5.390 4.312 3.521
7.972 1.002 1.490
7.972 2.868 4.469
7.972 4.044 1.490
7.972 5.911 4.469
10.554 2.600 2.437
10.554 4.312 5.416
13.363 0.856 5.416
13.363 6.057 2.437
2.060 2.567 0.468
2.060 4.346 3.447
5.912 0.890 3.447
5.912 6.023 0.468
10.032 0.890 5.491
10.032 6.023 2.512
13.884 2.567 2.512
13.884 4.346 5.491
1.530 0.970 5.571
1.530 5.943 2.592
1.903 2.737 2.383
1.903 4.176 5.362
6.069 0.720 5.362
6.069 6.193 2.383
6.443 2.487 2.592
6.443 4.426 5.571
9.502 2.487 0.387
9.502 4.426 3.367
9.875 0.720 3.576
9.875 6.193 0.596
14.042 2.737 0.596
14.042 4.176 3.576
14.415 0.970 3.367
14.415 5.943 0.387
```



(4)
Li10Mn3Cr3Fe2O16 | PBE with a Hubbard U | optimized geometry

Computed properties:
* SG: No. 1

POSCAR file:
```
Li10Mn3Cr3Fe2O16
1.0
5.966 0.000 0.000
-2.958 5.284 0.000
-0.104 -0.318 9.957
Li Mn Cr Fe O
10 3 3 2 16
Cartesian
0.000 0.000 0.000
-0.029 -0.051 4.972
-1.258 4.195 4.201
0.011 2.074 4.279
-0.100 3.474 2.026
1.680 0.857 9.184
1.191 4.297 4.115
3.035 1.575 7.016
4.155 0.838 9.259
3.046 2.977 9.155
0.011 1.643 6.960
-1.439 4.246 6.939
1.439 0.886 1.984
1.522 4.259 6.941
2.924 3.501 1.954
4.400 0.878 1.962
-0.028 3.307 9.516
2.923 1.762 4.527
-2.888 4.937 8.102
-1.339 2.369 8.171
-0.007 1.658 0.855
-1.556 4.451 0.883
1.363 0.955 5.687
-0.005 3.599 5.721
1.477 2.588 3.057
2.875 0.111 3.092
-0.006 5.020 8.089
1.441 2.512 8.052
1.531 4.471 0.803
3.050 1.844 0.743
4.544 0.741 5.891
3.075 3.532 5.792
2.795 5.174 3.129
4.350 2.566 3.141
```



(5)
Mn3OF5 | PBE with a Hubbard U | optimized geometry

Computed properties:
* ΔE to the lowest computed polymorph: 0.0218 eV/atom
* SG: No. 2

POSCAR file:
```
Mn3OF5
1.0
4.868 0.000 0.000
0.295 5.792 0.000
0.143 0.420 8.192
Mn O F
6 2 10
Cartesian
0.000 0.000 0.000
0.209 2.212 5.434
2.634 5.184 5.631
2.581 2.896 0.000
2.672 1.028 2.561
5.097 4.000 2.757
1.790 4.926 7.497
3.516 1.286 0.695
1.223 5.725 1.901
1.229 3.914 4.641
1.218 2.030 7.334
1.680 2.814 1.840
1.642 1.037 4.504
3.664 5.175 3.688
3.626 3.398 6.352
4.088 4.182 0.858
4.077 2.298 3.550
4.083 0.487 6.290
```



| no. | energy of formation (eV/f.u.) |
| --- | --- |
| 1 | -80.746 |
| 2 | -116.769 |
| 3 | -7.446 |
| 4 | -71.197 |
| 5 | -24.521 |